A relaxed structure of TaSiRu, computed with PBE-GGA.

Cell: 7.3335 11.1960 6.5134 Å, 90.00 90.00 90.00°
Closest atoms and distances in Å follow each position.
Space group Ima2 (No. 46)
Asymmetric unit:
Ta  0.2500  0.0018  0.0000 (multiplicity 4)  5 Si 2.66-2.73, 4 Ru 2.84-2.88
Ta  0.2500  0.2190  0.3594 (multiplicity 4)  5 Si 2.59-2.68, 2 Ru 2.89
Ta  0.2500  0.6966  0.8763 (multiplicity 4)  5 Si 2.67-2.85, 6 Ru 2.79-2.88
Si  0.0040  0.6664  0.5796 (multiplicity 8)  3 Ru 2.49, 6 Ta 2.66-2.71
Si  0.2500  0.0279  0.5837 (multiplicity 4)  6 Ru 2.46-2.47, 2 Ta 2.59-2.73
Ru  0.0000  0.0000  0.3333 (multiplicity 4)  4 Si 2.47-2.49
Ru  0.0312  0.6245  0.2047 (multiplicity 8)  4 Si 2.46-2.49

=====

A relaxed structure of TaSiRu2, computed with PBE-GGA.

Cell: 6.1477 6.1477 6.1477 Å, 90.00 90.00 90.00°
Closest atoms and distances in Å follow each position.
Space group Fm-3m (No. 225)
Asymmetric unit:
Ta  0.0000  0.0000  0.0000 (multiplicity 4)  8 Ru 2.66
Si  0.0000  0.0000  0.5000 (multiplicity 4)  8 Ru 2.66
Ru  0.2500  0.2500  0.2500 (multiplicity 8)  4 Ta 2.66, 4 Si 2.66

Total moment in μB per atom: 0.202

=====

A relaxed structure of ZrTaSi2Ru2, computed with PBE-GGA.

Cell: 6.5647 3.7711 11.2693 Å, 90.00 90.29 90.00°
Closest atoms and distances in Å follow each position.
Space group Pm (No. 6)
Asymmetric unit:
Zr  0.0000  0.0000  0.0000 (multiplicity 1)  5 Si 2.74-2.78, 4 Ru 2.89-3.06
Zr  0.0007  0.0000  0.5798 (multiplicity 1)  5 Si 2.74-2.76, 6 Ru 2.87-3.06
Zr  0.5010  0.0000  0.0809 (multiplicity 1)  5 Si 2.74-2.79, 6 Ru 2.90-3.06
Ta  0.1350  0.0000  0.2912 (multiplicity 1)  5 Si 2.68-2.74, 2 Ru 2.87
Ta  0.5008  0.0000  0.4988 (multiplicity 1)  5 Si 2.70-2.72, 4 Ru 2.88-3.00
Ta  0.6325  0.0000  0.7877 (multiplicity 1)  5 Si 2.69-2.71, 2 Ru 2.88
Si  0.2101  0.5000  0.1278 (multiplicity 1)  3 Ru 2.50-2.58, 2 Ta 2.68, 4 Zr 2.74
Si  0.2148  0.5000  0.4549 (multiplicity 1)  3 Ru 2.46-2.54, 4 Ta 2.69-2.71, 2 Zr 2.74
Si  0.2192  0.0000  0.7899 (multiplicity 1)  6 Ru 2.45-2.52, 1 Ta 2.71
Si  0.7046  0.5000  0.6226 (multiplicity 1)  3 Ru 2.47-2.51, 4 Ta 2.69-2.70, 2 Zr 2.75
Si  0.7087  0.5000  0.9524 (multiplicity 1)  3 Ru 2.50-2.57, 2 Ta 2.69, 4 Zr 2.74
Si  0.7176  0.0000  0.2941 (multiplicity 1)  6 Ru 2.44-2.51, 1 Ta 2.72
Ru  0.3346  0.5000  0.9111 (multiplicity 1)  4 Si 2.45-2.58
Ru  0.3368  0.5000  0.6657 (multiplicity 1)  4 Si 2.47-2.50
Ru  0.4656  0.5000  0.2932 (multiplicity 1)  4 Si 2.46-2.51
Ru  0.8343  0.5000  0.4136 (multiplicity 1)  4 Si 2.44-2.54
Ru  0.8349  0.5000  0.1690 (multiplicity 1)  4 Si 2.48-2.57, 1 Ru 2.76
Ru  0.9635  0.5000  0.7876 (multiplicity 1)  4 Si 2.51-2.52, 1 Ru 2.80

Total moment in μB per atom: 0.000

=====

A relaxed structure of Tb3Si12Ru4, computed with PBE-GGA.

Cell: 18.5331 8.1442 8.1452 Å, 90.00 90.00 90.00°
Closest atoms and distances in Å follow each position.
Space group Cmce (No. 64)
Asymmetric unit:
Tb  0.0000  0.0000  0.0000 (multiplicity 4)  12 Si 3.03-3.10, 6 Ru 3.13-3.21
Tb  0.2500  0.2464  0.2500 (multiplicity 8)  12 Si 2.98-3.24, 4 Ru 3.23-3.26
Si  0.0000  0.1667  0.3334 (multiplicity 8)  3 Ru 2.37-2.42, 4 Si 2.64
Si  0.1172  0.0061  0.7285 (multiplicity 16)  2 Ru 2.41-2.52, 3 Si 2.47-2.64
Si  0.1171  0.2291  0.5070 (multiplicity 16)  2 Ru 2.41-2.52, 3 Si 2.47-2.64
Si  0.2046  0.0000  0.5000 (multiplicity 8)  1 Ru 2.34, 4 Si 2.47
Ru  0.0000  0.1272  0.6271 (multiplicity 8)  7 Si 2.37-2.52
Ru  0.1691  0.0000  0.0000 (multiplicity 8)  5 Si 2.34-2.41

Total moment in μB per atom: 0.000

=====

A relaxed structure of TbSiRu, computed with PBE-GGA.

Cell: 7.0435 4.3605 7.1091 Å, 90.00 90.00 90.00°
Closest atoms and distances in Å follow each position.
Space group Pnma (No. 62)
Asymmetric unit:
Tb  0.0164  0.2500  0.1854 (multiplicity 4)  4 Ru 2.95-2.97, 6 Si 3.03-3.24
Si  0.1941  0.2500  0.6056 (multiplicity 4)  4 Ru 2.45-2.56
Ru  0.1523  0.7500  0.4321 (multiplicity 4)  4 Si 2.45-2.56

=====

A relaxed structure of ThSi2Ru3, computed with PBE-GGA.

Cell: 5.6450 5.6450 3.6223 Å, 90.00 90.00 120.00°
Closest atoms and distances in Å follow each position.
Space group P6/mmm (No. 191)
Asymmetric unit:
Th  0.0000  0.0000  0.0000 (multiplicity 1)  6 Si 3.26, 12 Ru 3.35, 2 Th 3.62
Si  0.3333  0.6667  0.0000 (multiplicity 2)  6 Ru 2.44
Ru  0.0000  0.5000  0.5000 (multiplicity 3)  4 Si 2.44

Total moment in μB per atom: 0.000

=====

A relaxed structure of ThSi2Ru2, computed with PBE-GGA.

Cell: 4.2242 4.2242 9.7671 Å, 90.00 90.00 90.00°
Closest atoms and distances in Å follow each position.
Space group I4/mmm (No. 139)
Asymmetric unit:
Th  0.0000  0.0000  0.0000 (multiplicity 2)  8 Ru 3.23, 10 Si 3.25-3.59
Si  0.0000  0.0000  0.3679 (multiplicity 4)  4 Ru 2.41, 1 Si 2.58
Ru  0.0000  0.5000  0.2500 (multiplicity 4)  4 Si 2.41

=====

A relaxed structure of Th3Si12Ru4, computed with PBE-GGA.

Cell: 18.5631 8.3103 8.3380 Å, 90.00 90.00 90.00°
Closest atoms and distances in Å follow each position.
Space group Cmce (No. 64)
Asymmetric unit:
Th  0.0000  0.0000  0.0000 (multiplicity 4)  6 Ru 3.06-3.30, 12 Si 3.10-3.17
Th  0.2500  0.2452  0.2500 (multiplicity 8)  12 Si 3.03-3.23, 4 Ru 3.31-3.36
Si  0.0000  0.1646  0.3342 (multiplicity 8)  3 Ru 2.45, 4 Si 2.65
Si  0.1179  0.0051  0.7259 (multiplicity 16)  2 Ru 2.45-2.55, 4 Si 2.50-2.70
Si  0.1183  0.2247  0.5023 (multiplicity 16)  2 Ru 2.45-2.56, 4 Si 2.48-2.70
Si  0.2065  0.0000  0.5000 (multiplicity 8)  1 Ru 2.39, 4 Si 2.48-2.50
Ru  0.0000  0.1280  0.6258 (multiplicity 8)  7 Si 2.45-2.56
Ru  0.1650  0.0000  0.0000 (multiplicity 8)  5 Si 2.39-2.45

Total moment in μB per atom: 0.000

=====

A relaxed structure of U2Si3Ru, computed with PBE-GGA.

Cell: 8.2020 8.2020 3.7817 Å, 90.00 90.00 120.00°
Closest atoms and distances in Å follow each position.
Space group P-3m1 (No. 164)
Asymmetric unit:
U  0.0000  0.0000  0.0000 (multiplicity 1)  12 Si 2.98-3.02
U  0.0000  0.5000  0.0000 (multiplicity 3)  4 Ru 2.97-3.10, 8 Si 3.02-3.07
Si  0.1638  0.3277  0.5095 (multiplicity 6)  2 Si 2.33, 1 Ru 2.41
Ru  0.3333  0.6667  0.4727 (multiplicity 2)  3 Si 2.41

Excess energy over the best structure of this formula in the dataset in meV per atom: 0
Total moment in μB per atom: 0.645

=====

A relaxed structure of U2Si3Ru, computed with PBE-GGA.

Cell: 3.6741 4.1683 7.0841 Å, 90.00 90.00 90.00°
Closest atoms and distances in Å follow each position.
Space group Pmm2 (No. 25)
Asymmetric unit:
U  0.0000  0.0000  0.0000 (multiplicity 1)  2 Ru 2.97, 10 Si 2.98-3.04
U  0.0000  0.5000  0.4903 (multiplicity 1)  8 Si 3.00-3.05, 4 Ru 3.00
Si  0.5000  0.0000  0.6688 (multiplicity 1)  2 Si 2.36, 1 Ru 2.41
Si  0.5000  0.5000  0.1549 (multiplicity 1)  1 Si 2.33, 2 Ru 2.42
Si  0.5000  0.5000  0.8254 (multiplicity 1)  3 Si 2.33-2.36
Ru  0.5000  0.0000  0.3288 (multiplicity 1)  3 Si 2.41-2.42

Excess energy over the best structure of this formula in the dataset in meV per atom: 17
Total moment in μB per atom: 0.554

=====

A relaxed structure of USi2Ru2, computed with PBE-GGA.

Cell: 4.1587 4.1587 9.5725 Å, 90.00 90.00 90.00°
Closest atoms and distances in Å follow each position.
Space group I4/mmm (No. 139)
Asymmetric unit:
U  0.0000  0.0000  0.0000 (multiplicity 2)  8 Ru 3.17, 8 Si 3.18
Si  0.0000  0.0000  0.3733 (multiplicity 4)  4 Ru 2.39, 1 Si 2.43
Ru  0.0000  0.5000  0.2500 (multiplicity 4)  4 Si 2.39

=====

A relaxed structure of YSiRu, computed with PBE-GGA.

Cell: 7.0103 4.3150 7.1888 Å, 90.00 90.00 90.00°
Closest atoms and distances in Å follow each position.
Space group Pnma (No. 62)
Asymmetric unit:
Y  0.0102  0.2500  0.1867 (multiplicity 4)  4 Ru 2.96-2.98, 6 Si 3.00-3.28
Si  0.1962  0.2500  0.6057 (multiplicity 4)  4 Ru 2.47-2.58
Ru  0.1534  0.7500  0.4334 (multiplicity 4)  4 Si 2.47-2.58

=====

A relaxed structure of ZrSiRu, computed with PBE-GGA.

Cell: 6.7106 6.7106 3.7281 Å, 90.00 90.00 120.00°
Closest atoms and distances in Å follow each position.
Space group P-62m (No. 189)
Asymmetric unit:
Zr  0.0000  0.5852  0.0000 (multiplicity 3)  5 Si 2.75-2.78, 6 Ru 2.95-3.06
Si  0.0000  0.0000  0.0000 (multiplicity 1)  6 Ru 2.48
Si  0.3333  0.6667  0.5000 (multiplicity 2)  3 Ru 2.59, 6 Zr 2.75
Ru  0.0000  0.2443  0.5000 (multiplicity 3)  4 Si 2.48-2.59

=====

A relaxed structure of SmRu2, computed with PBE-GGA.

Cell: 5.3063 5.3063 9.1207 Å, 90.00 90.00 120.00°
Closest atoms and distances in Å follow each position.
Space group P6_3/mmc (No. 194)
Asymmetric unit:
Sm  0.3333  0.6667  0.0677 (multiplicity 4)  12 Ru 3.13-3.26, 4 Sm 3.30-3.33
Ru  0.0000  0.0000  0.0000 (multiplicity 2)  6 Ru 2.77
Ru  0.1710  0.3421  0.7500 (multiplicity 6)  6 Ru 2.58-2.77

=====

A relaxed structure of Sm3Ru, computed with PBE-GGA.

Cell: 7.3939 9.4838 6.4571 Å, 90.00 90.00 90.00°
Closest atoms and distances in Å follow each position.
Space group Pnma (No. 62)
Asymmetric unit:
Sm  0.0411  0.2500  0.1391 (multiplicity 4)  2 Ru 2.81-2.87
Sm  0.1769  0.0671  0.6718 (multiplicity 8)  2 Ru 2.88-2.95
Ru  0.1145  0.7500  0.4540 (multiplicity 4)  6 Sm 2.81-2.95

=====

A relaxed structure of SmRu2, computed with PBE-GGA.

Cell: 7.6337 7.6337 7.6337 Å, 90.00 90.00 90.00°
Closest atoms and distances in Å follow each position.
Space group Fd-3m (No. 227, origin choice 2)
Asymmetric unit:
Sm  0.1250  0.1250  0.1250 (multiplicity 8)  12 Ru 3.16, 4 Sm 3.31
Ru  0.0000  0.0000  0.5000 (multiplicity 16)  6 Ru 2.70

=====

A relaxed structure of Sm3Sn13Ru4, computed with PBE-GGA.

Cell: 9.8259 9.8259 9.8259 Å, 90.00 90.00 90.00°
Closest atoms and distances in Å follow each position.
Space group Pm-3n (No. 223)
Asymmetric unit:
Sm  0.0000  0.2500  0.5000 (multiplicity 6)  12 Sn 3.43-3.47, 4 Ru 3.47
Sn  0.0000  0.0000  0.0000 (multiplicity 2)  12 Sn 3.36
Sn  0.0000  0.3048  0.1553 (multiplicity 24)  2 Ru 2.68
Ru  0.2500  0.2500  0.2500 (multiplicity 8)  6 Sn 2.68

=====

A relaxed structure of Sn3Ru, computed with PBE-GGA.

Cell: 6.9844 6.9844 4.4424 Å, 90.00 90.00 120.00°
Closest atoms and distances in Å follow each position.
Space group P6_3/mmc (No. 194)
Asymmetric unit:
Sn  0.1838  0.3677  0.2500 (multiplicity 6)  2 Ru 2.86, 6 Sn 3.13-3.14
Ru  0.3333  0.6667  0.7500 (multiplicity 2)  6 Sn 2.86

Total moment in μB per atom: 0.000

=====

A relaxed structure of Sn2Ru, computed with PBE-GGA.

Cell: 6.4467 6.4467 5.8067 Å, 90.00 90.00 90.00°
Closest atoms and distances in Å follow each position.
Space group I4/mcm (No. 140)
Asymmetric unit:
Sn  0.1630  0.3370  0.0000 (multiplicity 8)  4 Ru 2.82, 1 Sn 2.97
Ru  0.0000  0.0000  0.2500 (multiplicity 4)  8 Sn 2.82, 2 Ru 2.90

=====

no.,total DFT energy (no corrections) (eV per cell),ΔE_f (meV/atom)
1,-341.95,-646
2,-150.73,-463
3,-163.57,-786
4,-513.46,-645
5,-87.15,-818
6,-50.61,-754
7,-83.13,-950
8,-542.68,-591
9,-101.68,-451
10,-50.74,-434
11,-87.87,-649
12,-94.59,-827
13,-78.21,-940
14,-95.71,-220
15,-97.54,-238
16,-190.92,-199
17,-223.14,-410
18,-39.83,347
19,-70.94,-147